(1)
# Na2ZnSiO4

An optimized crystal structure of Na2ZnSiO4 (PBE-GGA, the Materials Project database).

Values from the calculation:
magnetization	0.00	μB per formula unit
V	13.04	Å³/atom
maximum piezoelectric response	1.3	C/m²
E_tot	-5.789	eV/atom

a b c (Å): 5.338 5.547 8.819
angles (deg): 90.00 126.99 90.00
Element x y z (fractional)
Na 0.000 0.173 0.000
Na 0.000 0.827 0.500
Na 0.749 0.318 0.245
Na 0.749 0.682 0.745
Zn 0.263 0.312 0.751
Zn 0.263 0.688 0.251
Si 0.513 0.188 0.498
Si 0.513 0.812 0.998
O 0.240 0.343 0.306
O 0.240 0.657 0.806
O 0.407 0.099 0.971
O 0.407 0.901 0.471
O 0.569 0.292 0.692
O 0.569 0.708 0.192
O 0.847 0.210 0.525
O 0.847 0.790 0.025

(2)
# Na2Zn3Si2O8

An optimized crystal structure of Na2Zn3Si2O8 (PBE-GGA, the Materials Project database).

Values from the calculation:
magnetization	0.00	μB per formula unit
V	13.12	Å³/atom
E_tot	-5.901	eV/atom

a b c (Å): 5.190 8.938 13.613
angles (deg): 72.07 79.65 88.95
Element x y z (fractional)
Na 0.000 0.000 0.000
Na 0.026 0.369 0.925
Na 0.073 0.742 0.846
Na 0.190 0.839 0.594
Na 0.309 0.985 0.330
Na 0.869 0.891 0.246
Zn 0.206 0.477 0.651
Zn 0.284 0.231 0.500
Zn 0.460 0.779 0.153
Zn 0.525 0.213 0.837
Zn 0.533 0.521 0.008
Zn 0.596 0.962 0.690
Zn 0.788 0.679 0.512
Zn 0.861 0.251 0.193
Zn 0.870 0.426 0.362
Si 0.073 0.121 0.741
Si 0.349 0.596 0.408
Si 0.432 0.150 0.087
Si 0.624 0.587 0.754
Si 0.779 0.065 0.440
Si 0.988 0.612 0.106
O 0.026 0.574 0.422
O 0.104 0.765 0.128
O 0.134 0.274 0.633
O 0.165 0.568 0.006
O 0.168 0.120 0.179
O 0.328 0.188 0.976
O 0.354 0.062 0.781
O 0.409 0.634 0.516
O 0.424 0.437 0.762
O 0.454 0.745 0.723
O 0.473 0.741 0.306
O 0.481 0.427 0.407
O 0.524 0.051 0.538
O 0.612 0.995 0.112
O 0.631 0.300 0.083
O 0.672 0.108 0.330
O 0.698 0.661 0.072
O 0.737 0.559 0.862
O 0.882 0.603 0.657
O 0.894 0.172 0.836
O 0.932 0.899 0.462
O 0.952 0.972 0.715
O 0.956 0.455 0.211
O 0.988 0.208 0.433

(3)
# Na2ZrSi2O7

An optimized crystal structure of Na2ZrSi2O7 (PBE-GGA, the Materials Project database).

Values from the calculation:
magnetization	0.00	μB per formula unit
V	13.04	Å³/atom
E_tot	-7.473	eV/atom

a b c (Å): 5.530 6.675 9.000
angles (deg): 70.85 87.69 86.01
Element x y z (fractional)
Na 0.237 0.380 0.104
Na 0.260 0.158 0.509
Na 0.740 0.842 0.491
Na 0.763 0.620 0.896
Zr 0.277 0.790 0.272
Zr 0.723 0.210 0.728
Si 0.188 0.563 0.665
Si 0.273 0.853 0.854
Si 0.727 0.147 0.146
Si 0.812 0.437 0.335
O 0.036 0.009 0.785
O 0.094 0.505 0.323
O 0.218 0.779 0.514
O 0.221 0.617 0.834
O 0.317 0.787 0.042
O 0.390 0.376 0.665
O 0.476 0.068 0.245
O 0.524 0.932 0.755
O 0.610 0.624 0.335
O 0.683 0.213 0.958
O 0.779 0.383 0.166
O 0.782 0.221 0.486
O 0.906 0.495 0.677
O 0.964 0.991 0.215

(4)
# Na4Zr2Si3O12

An optimized crystal structure of Na4Zr2Si3O12 (PBE-GGA, the Materials Project database).

Values from the calculation:
magnetization	0.00	μB per formula unit
V	13.38	Å³/atom
E_tot	-7.397	eV/atom

a b c (Å): 9.200 9.200 9.200
angles (deg): 60.91 60.91 60.91
Element x y z (fractional)
Na 0.000 0.000 0.000
Na 0.118 0.750 0.382
Na 0.250 0.618 0.882
Na 0.382 0.118 0.750
Na 0.500 0.500 0.500
Na 0.618 0.882 0.250
Na 0.750 0.382 0.118
Na 0.882 0.250 0.618
Zr 0.146 0.146 0.146
Zr 0.354 0.354 0.354
Zr 0.646 0.646 0.646
Zr 0.854 0.854 0.854
Si 0.047 0.453 0.750
Si 0.250 0.953 0.547
Si 0.453 0.750 0.047
Si 0.547 0.250 0.953
Si 0.750 0.047 0.453
Si 0.953 0.547 0.250
O 0.010 0.623 0.795
O 0.065 0.269 0.917
O 0.083 0.935 0.731
O 0.123 0.510 0.295
O 0.205 0.990 0.377
O 0.231 0.435 0.583
O 0.269 0.917 0.065
O 0.295 0.123 0.510
O 0.377 0.205 0.990
O 0.417 0.769 0.565
O 0.435 0.583 0.231
O 0.490 0.705 0.877
O 0.510 0.295 0.123
O 0.565 0.417 0.769
O 0.583 0.231 0.435
O 0.623 0.795 0.010
O 0.705 0.877 0.490
O 0.731 0.083 0.935
O 0.769 0.565 0.417
O 0.795 0.010 0.623
O 0.877 0.490 0.705
O 0.917 0.065 0.269
O 0.935 0.731 0.083
O 0.990 0.377 0.205

Values for energy relative to the elements, eV per atom, ordered as above
-2.49 -2.48 -3.15 -3.12